Record 1
Na3ZnGeP3O12 | PBE-GGA | optimized geometry

abc: 15.300 8.839 8.741
angles: 90.00 125.29 90.00
Positions (direct):
1 O 0.857 0.370 0.581
2 O 0.926 0.938 0.079
3 O 0.744 0.196 0.257
4 O 0.852 0.415 0.258
5 O 0.757 0.347 0.746
6 O 0.157 0.442 0.240
7 O 0.064 0.046 0.936
8 O 0.044 0.318 0.563
9 O 0.357 0.870 0.581
10 O 0.244 0.304 0.757
11 O 0.257 0.153 0.246
12 O 0.152 0.343 0.919
13 O 0.852 0.585 0.758
14 O 0.352 0.915 0.258
15 O 0.152 0.657 0.419
16 O 0.657 0.058 0.740
17 O 0.357 0.130 0.081
18 O 0.409 0.356 0.756
19 O 0.857 0.630 0.081
20 O 0.958 0.352 0.940
21 O 0.652 0.843 0.919
22 O 0.564 0.454 0.436
23 O 0.909 0.144 0.256
24 O 0.909 0.856 0.756
25 O 0.409 0.644 0.256
26 O 0.652 0.157 0.419
27 O 0.157 0.558 0.740
28 O 0.044 0.682 0.063
29 O 0.926 0.062 0.579
30 O 0.069 0.849 0.744
31 O 0.244 0.696 0.257
32 O 0.426 0.562 0.579
33 O 0.544 0.818 0.563
34 O 0.064 0.954 0.436
35 O 0.069 0.151 0.244
36 O 0.569 0.349 0.744
37 O 0.544 0.182 0.063
38 O 0.757 0.653 0.246
39 O 0.426 0.438 0.079
40 O 0.564 0.546 0.936
41 O 0.458 0.852 0.940
42 O 0.352 0.085 0.758
43 O 0.657 0.942 0.240
44 O 0.569 0.651 0.244
45 O 0.257 0.847 0.746
46 O 0.458 0.148 0.440
47 O 0.958 0.648 0.440
48 O 0.744 0.804 0.757
49 P 0.994 0.043 0.257
50 P 0.356 0.904 0.760
51 P 0.356 0.096 0.260
52 P 0.650 0.113 0.250
53 P 0.856 0.404 0.760
54 P 0.856 0.596 0.260
55 P 0.994 0.957 0.757
56 P 0.494 0.457 0.757
57 P 0.150 0.613 0.250
58 P 0.650 0.887 0.750
59 P 0.150 0.387 0.750
60 P 0.494 0.543 0.257
61 Zn 0.101 0.251 0.056
62 Zn 0.601 0.751 0.056
63 Zn 0.601 0.249 0.556
64 Zn 0.101 0.749 0.556
65 Na 0.250 0.270 0.486
66 Na 0.681 0.559 0.783
67 Na 0.250 0.730 0.986
68 Na 0.004 0.609 0.749
69 Na 0.750 0.230 0.986
70 Na 0.504 0.891 0.249
71 Na 0.681 0.441 0.283
72 Na 0.181 0.059 0.783
73 Na 0.750 0.770 0.486
74 Na 0.181 0.941 0.283
75 Na 0.504 0.109 0.749
76 Na 0.004 0.391 0.249
77 Ge 0.396 0.257 0.941
78 Ge 0.896 0.757 0.941
79 Ge 0.396 0.743 0.441
80 Ge 0.896 0.243 0.441

Results
E_tot = -6.2904 eV per atom
formation enthalpy at 0 K = -48.59 eV per formula unit
energy relative to the lowest polymorph listed for this composition = 0.0 kJ per mole of atoms

Record 2
Ba6In2NF | PBE-GGA | optimized geometry

abc: 7.971 7.971 7.971
angles: 60.00 60.00 60.00
Positions (direct):
1 Ba 0.758 0.242 0.242
2 Ba 0.758 0.242 0.758
3 Ba 0.242 0.758 0.242
4 Ba 0.242 0.242 0.758
5 Ba 0.242 0.758 0.758
6 Ba 0.758 0.758 0.242
7 F 0.500 0.500 0.500
8 N 0.000 0.000 0.000
9 In 0.750 0.750 0.750
10 In 0.250 0.250 0.250

Results
E_tot = -3.6144 eV per atom
formation enthalpy at 0 K = -9.34 eV per formula unit